4
Lattice="3.7054 0.0000 0.0000 0.0000 3.7054 0.0000 0.0000 0.0000 5.2134" Properties=species:S:1:pos:R:3 comment="FeCuS2 (PBE-GGA, optimized geometry)" sg="P-4m2, No. 115" ef_ev_per_fu=-2.1 pbc="T T T"
Fe 0.0000 0.0000 0.0000
Cu 1.8527 1.8527 2.6067
S 0.0000 1.8527 3.9339
S 1.8527 0.0000 1.2795

28
Lattice="8.7289 0.0000 0.0000 0.0000 6.5021 0.0000 -4.1051 0.0000 10.2656" Properties=species:S:1:pos:R:3 comment="Cs3HSe2O8 (PBE-GGA, optimized geometry)" sg="P2_1/m, No. 11" ef_ev_per_fu=-23.3 e_above_lowest_polymorph_kj_per_mol_fu=2.2 pbc="T T T"
Cs -0.9523 1.6255 2.4371
Cs 3.1593 1.6255 0.5306
Cs 1.1939 4.8765 5.6655
Cs 3.4299 1.6255 4.6001
Cs 1.4645 4.8765 9.7350
Cs 5.5761 4.8765 7.8285
H -2.9610 1.6255 7.4450
H 7.5848 4.8765 2.8206
Se 1.3096 4.8765 1.8361
Se -0.7048 1.6255 6.9404
Se 5.3286 4.8765 3.3252
Se 3.3142 1.6255 8.4295
O -2.4358 1.6255 6.5294
O -0.3702 4.8765 1.5092
O 0.0635 1.6255 5.4780
O 2.1705 4.8765 0.4066
O -0.4693 0.2406 7.8269
O -0.4693 3.0105 7.8269
O 1.6334 3.4967 2.7308
O 1.6334 6.2563 2.7308
O 2.9904 0.2457 7.5348
O 2.9904 3.0053 7.5348
O 5.0931 3.4916 2.4387
O 5.0931 6.2615 2.4387
O 2.4533 1.6255 9.8590
O 4.5603 4.8765 4.7876
O 4.9940 1.6255 8.7564
O 7.0596 4.8765 3.7362

26
Lattice="5.3657 0.0000 0.0000 0.0000 8.4537 0.0000 -4.5716 0.0000 7.9239" Properties=species:S:1:pos:R:3 comment="Mg3As2O8 (PBE-GGA, optimized geometry)" sg="P2_1/c, No. 14" ef_ev_per_fu=-31.9 pbc="T T T"
Mg 0.0000 0.0000 0.0000
Mg 3.5405 1.2216 3.1601
Mg 1.2547 3.0052 7.1221
Mg -2.2858 4.2269 3.9620
Mg -0.4607 5.4485 0.8019
Mg -2.7465 7.2321 4.7638
As -1.8089 1.6393 6.3754
As 0.4769 2.5875 2.4135
As 0.3172 5.8662 5.5104
As 2.6030 6.8144 1.5485
O -0.1924 1.0688 1.9091
O -2.4782 3.1580 5.8711
O -1.8455 0.5347 5.0592
O 0.4403 3.6921 1.0972
O -2.9559 1.2380 7.5935
O -0.6701 2.9888 3.6316
O -1.2731 5.8836 4.8831
O 1.0127 6.7970 0.9212
O -0.2186 1.6567 7.0027
O 2.0672 2.5701 3.0408
O 1.4641 5.4649 4.2924
O 3.7499 7.2157 0.3304
O 0.3538 4.7616 6.8267
O 2.6396 7.9190 2.8647
O 3.2723 5.2957 2.0528
O 0.9865 7.3849 6.0148

13
Lattice="4.9006 0.0000 0.0000 1.9356 4.9676 0.0000 0.3362 2.0044 6.0458" Properties=species:S:1:pos:R:3 comment="MgCu2P2O8 (PBE-GGA, optimized geometry)" sg="P1, No. 1" ef_ev_per_fu=-29.4 e_above_lowest_polymorph_kj_per_mol_fu=0.0 pbc="T T T"
Mg 0.0000 0.0000 0.0000
Cu 3.3117 3.3904 2.2727
Cu 5.2187 5.1375 4.1440
P 0.7556 1.4645 2.8248
P 2.8496 3.8208 5.5252
O 1.3215 3.7062 5.2228
O 2.3893 5.1738 1.9507
O 2.8134 3.0968 0.3306
O 2.2791 1.5762 3.1347
O 3.6365 4.0177 4.1627
O 2.9803 0.5454 0.1653
O 5.1905 2.7366 2.1082
O 6.8103 6.2490 4.1675

10
Lattice="2.8916 1.6694 4.8867 -2.8916 1.6694 4.8867 0.0000 -3.3389 4.8867" Properties=species:S:1:pos:R:3 comment="ScBiO3 (PBE-GGA, optimized geometry)" e_ij_max_c_m2=4.86 sg="R3c, No. 161" ef_ev_per_fu=-13.9 pbc="T T T"
Sc 0.0000 0.0000 0.0000
Sc 0.0000 0.0000 7.3300
Bi 0.0000 0.0000 4.1818
Bi 0.0000 0.0000 11.5118
O -0.4835 -1.5527 5.8180
O -1.7886 -0.4743 8.2613
O -1.1029 1.1951 5.8180
O 1.3051 -1.3118 8.2613
O 1.5865 0.3576 5.8180
O 0.4835 1.7862 8.2613

114
Lattice="9.2357 0.0000 0.0000 4.6139 8.0237 0.0000 0.3302 0.2081 24.0455" Properties=species:S:1:pos:R:3 comment="Na2LaInP2SO12 (PBE-GGA, optimized geometry)" sg="P1, No. 1" ef_ev_per_fu=-50.0 pbc="T T T"
Na 0.0000 0.0000 0.0000
Na 3.3164 5.3401 17.9268
Na 6.1654 5.7659 14.1115
Na 4.5729 2.8007 3.9187
Na 4.7883 2.8134 16.0717
Na 7.8964 7.9803 9.9678
Na 6.0302 0.2793 5.8809
Na 9.4094 5.6468 20.0660
Na 9.2813 5.4337 8.0521
Na 7.7728 2.5663 1.8850
Na 10.9272 3.1119 22.0527
Na 9.3086 0.1950 12.1090
La 0.2327 0.2210 8.4191
La 4.9104 2.9339 12.5832
La 4.9786 3.0315 7.5813
La 5.1584 3.0582 19.7031
La 9.4214 5.5461 4.2478
La 9.6725 5.6740 11.8204
In 0.4254 0.3492 20.4649
In 0.3164 0.2980 3.5514
In 0.4700 0.3678 15.7718
In 4.7811 2.8518 0.2937
In 9.5757 5.6550 16.5370
In 9.8439 5.7612 23.7809
P 3.6805 5.4943 22.0872
P 6.4117 6.0958 18.0232
P 3.0208 0.2492 5.9741
P 6.3754 5.4376 10.1697
P 8.1283 7.9952 14.2096
P 6.2717 0.4912 10.0190
P 7.9616 3.0607 22.2093
P 6.2399 0.0335 1.9882
P 8.0936 2.5809 5.8751
P 12.4207 5.7642 14.3366
P 10.8672 3.0632 1.8913
P 10.9148 2.7473 18.0890
S 3.4864 5.9111 5.8590
S 2.0859 2.9355 10.0432
S 3.6576 0.5785 22.1506
S 6.5625 5.5291 1.9025
S 8.2635 3.1923 14.2352
S 6.9717 0.2394 18.0124
O 1.3081 1.9160 16.8613
O 3.9910 6.6704 4.6867
O 4.3137 6.9066 21.9272
O 1.3253 1.6611 10.0801
O 3.8246 4.6303 20.7957
O 2.9081 2.9965 8.8181
O 2.9618 2.9194 11.2483
O 3.2314 2.9452 18.1225
O 4.0574 4.5476 5.8315
O 4.3391 4.7594 23.2837
O 4.1536 4.5335 14.2858
O 3.1513 2.8779 1.6952
O 2.1624 0.5317 22.0174
O 5.7961 6.8820 10.1604
O 5.6887 6.7263 2.0527
O 6.5785 8.0870 14.3076
O 5.7976 6.6710 16.7308
O 2.0263 0.2192 4.7835
O 6.0943 6.9545 19.2749
O 2.3015 0.1739 7.3420
O 5.7047 4.7003 18.1471
O 3.9263 1.4908 23.3014
O 3.9098 1.5269 5.9011
O 5.9206 4.7415 11.4840
O 5.8917 4.6481 8.9254
O 4.1405 1.3856 14.2225
O 5.7394 4.2951 1.7342
O 4.2488 1.1395 20.9110
O 8.3373 7.2577 12.8575
O 7.4746 5.7346 0.7466
O 7.3515 5.2858 3.1336
O 7.9534 5.9215 17.9415
O 8.8265 7.2444 22.3660
O 8.7280 7.1567 15.3558
O 8.6089 7.0482 5.9075
O 7.9182 5.5722 10.1018
O 5.6636 1.4783 1.7627
O 6.7660 3.1415 14.2128
O 5.8011 1.3371 11.2352
O 6.5350 2.6230 5.8784
O 7.0668 3.2397 20.9645
O 5.7939 1.1649 8.6998
O 6.0611 1.4080 18.0874
O 7.0996 2.8602 23.4856
O 10.3048 7.5438 3.3364
O 10.1560 7.1454 10.0597
O 8.6238 4.0825 15.3629
O 8.8931 4.3152 22.3484
O 8.6866 4.0040 5.8629
O 10.4760 7.1045 0.8248
O 8.7588 3.7300 12.9534
O 10.7861 6.9947 17.9548
O 8.4448 1.7584 4.5992
O 8.5642 1.8800 7.1592
O 7.7936 0.3856 16.8039
O 7.7944 0.3158 10.0970
O 12.4207 8.1344 19.2423
O 8.8151 1.8275 14.3790
O 8.9091 1.8100 22.0210
O 7.8073 0.1871 2.0596
O 10.2992 4.1992 17.9881
O 11.2349 5.8610 5.8317
O 11.3656 5.5871 22.2958
O 10.4155 4.0943 10.0666
O 10.1428 3.7232 0.6702
O 11.6003 5.8452 13.0348
O 11.5124 5.6054 15.5863
O 10.6393 3.9070 3.1573
O 10.4071 2.1149 19.4278
O 10.1293 1.6810 2.0272
O 13.3137 7.0413 14.3746
O 13.0554 6.5830 7.1274

11
Lattice="4.0221 -3.9358 0.0000 4.0221 3.9358 0.0000 -3.8189 0.0000 5.4051" Properties=species:S:1:pos:R:3 comment="Na3UF7 (PBE-GGA, optimized geometry)" sg="Cm, No. 8" ef_ev_per_fu=-37.8 pbc="T T T"
Na 0.0000 0.0000 0.0000
Na 1.9891 1.8267 2.9906
Na 1.9891 -1.8267 2.9906
U 3.6733 0.0000 0.0945
F -1.9418 0.0000 4.0267
F -0.0293 1.8609 4.2519
F 1.8380 0.0000 1.4421
F 4.1041 1.6219 1.5192
F -0.0293 -1.8609 4.2519
F 1.9785 0.0000 4.7749
F 4.1041 -1.6219 1.5192

16
Lattice="-4.7295 4.7295 2.4728 4.7295 -4.7295 2.4728 4.7295 4.7295 -2.4728" Properties=species:S:1:pos:R:3 comment="V5As3 (PBE-GGA, optimized geometry)" sg="I4/mcm, No. 140" ef_ev_per_fu=-3.5 e_above_lowest_polymorph_kj_per_mol_fu=0.0 pbc="T T T"
V 7.3203 0.7335 0.0000
V 0.7335 2.1387 0.0000
V 4.7295 0.0000 1.2364
V 5.4630 2.5908 0.0000
V 2.5908 3.9960 0.0000
V 2.1387 0.7335 2.4728
V -0.7335 2.1387 2.4728
V 0.0000 4.7295 1.2364
V 3.9960 2.5908 2.4728
V -2.5908 3.9960 2.4728
As 3.1765 1.5530 0.0000
As 0.0000 0.0000 1.2364
As 3.1765 -1.5530 2.4728
As 1.5530 6.2824 0.0000
As 0.0000 0.0000 3.7092
As 1.5530 3.1765 2.4728

27
Lattice="9.6836 0.0000 0.0000 -4.8418 8.3862 0.0000 0.0000 0.0000 4.7112" Properties=species:S:1:pos:R:3 comment="Na2TiF6 (PBE-GGA, optimized geometry)" sg="P-3m1, No. 164" ef_ev_per_fu=-31.1 pbc="T T T"
Na -1.6592 2.8739 0.0000
Na -3.1826 5.5123 0.0000
Na 3.3185 0.0000 0.0000
Na 1.6592 2.8739 0.0000
Na 6.3651 0.0000 0.0000
Na 3.1826 5.5123 0.0000
Ti 0.0000 0.0000 0.0000
Ti 0.0000 5.5908 2.3602
Ti 4.8418 2.7954 2.3510
F 0.0000 1.6026 1.0144
F -3.4539 7.5849 1.0144
F -1.3576 4.8070 1.2738
F 1.3879 0.8013 3.6968
F 0.0000 4.0317 3.4401
F -1.3503 6.3704 3.4401
F 1.3576 4.8070 1.2738
F 0.0000 7.1585 1.2738
F 3.4915 2.0158 1.2711
F 1.3503 6.3704 3.4401
F 4.8418 1.2278 3.4374
F 3.4842 3.5792 3.4374
F 6.1921 2.0158 1.2711
F 4.8418 4.3546 1.2711
F 3.4539 7.5849 1.0144
F 6.1994 3.5792 3.4374
F 8.2957 0.8013 3.6968
F 4.8418 6.7837 3.6968

40
Lattice="7.6521 0.0000 0.0000 0.0000 7.6521 0.0000 0.0000 0.0000 7.6521" Properties=species:S:1:pos:R:3 comment="La8Al7GaO24 (PBE-GGA, optimized geometry)" sg="Pm-3m, No. 221" ef_ev_per_fu=-145.2 pbc="T T T"
La 1.9111 1.9111 1.9111
La 1.9111 1.9111 5.7410
La 1.9111 5.7410 1.9111
La 1.9111 5.7410 5.7410
La 5.7410 1.9111 1.9111
La 5.7410 1.9111 5.7410
La 5.7410 5.7410 1.9111
La 5.7410 5.7410 5.7410
Al 0.0000 0.0000 0.0000
Al 0.0000 0.0000 3.8261
Al 0.0000 3.8261 0.0000
Al 0.0000 3.8261 3.8261
Al 3.8261 0.0000 0.0000
Al 3.8261 0.0000 3.8261
Al 3.8261 3.8261 0.0000
Ga 3.8261 3.8261 3.8261
O 0.0000 0.0000 1.9123
O 0.0000 0.0000 5.7399
O 0.0000 1.9123 0.0000
O 0.0000 1.9102 3.8261
O 0.0000 3.8261 1.9102
O 0.0000 3.8261 5.7419
O 0.0000 5.7399 0.0000
O 0.0000 5.7419 3.8261
O 1.8695 3.8261 3.8261
O 1.9123 0.0000 0.0000
O 1.9102 0.0000 3.8261
O 1.9102 3.8261 0.0000
O 3.8261 0.0000 1.9102
O 3.8261 0.0000 5.7419
O 3.8261 1.8695 3.8261
O 3.8261 1.9102 0.0000
O 3.8261 3.8261 1.8695
O 3.8261 3.8261 5.7826
O 3.8261 5.7419 0.0000
O 3.8261 5.7826 3.8261
O 5.7399 0.0000 0.0000
O 5.7419 0.0000 3.8261
O 5.7419 3.8261 0.0000
O 5.7826 3.8261 3.8261

12
Lattice="13.5875 0.0000 0.0000 0.0000 4.0498 0.0000 0.0000 0.0000 5.4419" Properties=species:S:1:pos:R:3 comment="Te2Ir (PBE-GGA, optimized geometry)" sg="Pnma, No. 62" ef_ev_per_fu=-0.9 pbc="T T T"
Te 0.6885 1.0125 1.2621
Te 2.6118 1.0125 3.8081
Te 4.1819 3.0374 1.0871
Te 6.1053 3.0374 3.9831
Te 7.4822 1.0125 1.4588
Te 9.4056 1.0125 4.3547
Te 10.9756 3.0374 1.6338
Te 12.8990 3.0374 4.1797
Ir 1.8256 3.0374 5.3316
Ir 4.9681 1.0125 2.6106
Ir 8.6194 3.0374 2.8312
Ir 11.7619 1.0125 0.1103

13
Lattice="6.3833 -3.9412 0.0000 6.3833 3.9412 0.0000 -6.2954 0.0000 6.7537" Properties=species:S:1:pos:R:3 comment="Ti5Te8 (PBE-GGA, optimized geometry)" sg="C2/m, No. 12" ef_ev_per_fu=-12.7 pbc="T T T"
Ti 0.0000 0.0000 0.0000
Ti 3.1285 0.0000 0.1742
Ti 3.2356 1.6887 3.3769
Ti 3.2356 -1.6887 3.3769
Ti 3.3428 0.0000 6.5795
Te -1.6878 0.0000 2.2568
Te -1.4463 1.9230 5.5863
Te 1.4481 0.0000 4.5481
Te 7.9175 1.9230 1.1674
Te -1.4463 -1.9230 5.5863
Te 5.0232 0.0000 2.2056
Te 7.9175 -1.9230 1.1674
Te 8.1591 0.0000 4.4969